(1)
The following is a PBE calculation of crystalline AgAsS2 at its relaxed geometry, from the Materials Project.

Values from the calculation:
Space group: C2/c
Formation energy (meV per atom): -353

POSCAR file:
```
AgAsS2
1.0
3.9609 7.6998 0.0000
-3.9609 7.6998 0.0000
0.0000 3.4313 17.2457
As Ag S
12 12 24
Direct
0.3780 0.1144 0.2687
0.1144 0.3780 0.7687
0.8856 0.6220 0.2313
0.0531 0.2924 0.0814
0.9469 0.7076 0.9186
0.2857 0.5289 0.0876
0.2924 0.0531 0.5814
0.6220 0.8856 0.7313
0.7143 0.4711 0.9124
0.5289 0.2857 0.5876
0.7076 0.9469 0.4186
0.4711 0.7143 0.4124
0.1220 0.8780 0.2500
0.1864 0.9479 0.9192
0.7621 0.5259 0.5878
0.2379 0.4741 0.4122
0.9479 0.1864 0.4192
0.6335 0.3665 0.2500
0.8136 0.0521 0.0808
0.4741 0.2379 0.9122
0.5259 0.7621 0.0878
0.0521 0.8136 0.5808
0.8780 0.1220 0.7500
0.3665 0.6335 0.7500
0.5488 0.1976 0.7213
0.4122 0.5923 0.6032
0.8164 0.7515 0.1085
0.6456 0.7679 0.9258
0.1570 0.9804 0.0902
0.8024 0.4512 0.7787
0.9789 0.3081 0.2148
0.7515 0.8164 0.6085
0.8430 0.0196 0.9098
0.5878 0.4077 0.3968
0.3544 0.2321 0.0742
0.9804 0.1570 0.5902
0.6919 0.0211 0.2852
0.2321 0.3544 0.5742
0.4077 0.5878 0.8968
0.5923 0.4122 0.1032
0.4512 0.8024 0.2787
0.0196 0.8430 0.4098
0.3081 0.9789 0.7148
0.7679 0.6456 0.4258
0.2485 0.1836 0.3915
0.1836 0.2485 0.8915
0.0211 0.6919 0.7852
0.1976 0.5488 0.2213
```

***

(2)
The following is a PBE calculation of crystalline EuMgH4 at its relaxed geometry, from the Materials Project.

Values from the calculation:
Space group: Cmc2_1
Formation energy (meV per atom): -507

POSCAR file:
```
EuMgH4
1.0
1.9396 -6.5666 0.0000
1.9396 6.5666 0.0000
0.0000 0.0000 5.5682
Eu H Mg
2 8 2
Direct
0.1519 0.8481 0.2560
0.8481 0.1519 0.7560
0.4559 0.5441 0.6565
0.3303 0.6697 0.0249
0.6697 0.3303 0.5249
0.7042 0.2958 0.0100
0.9272 0.0728 0.3473
0.0728 0.9272 0.8473
0.5441 0.4559 0.1565
0.2958 0.7042 0.5100
0.4143 0.5857 0.3043
0.5857 0.4143 0.8043
```